ReH12C2S2N4Cl5O3 PBE-GGA optimized geometry; E_form = -663.2 meV per atom; symmetry = P2_1/c, No. 14
1.0
-1.8841 -0.5722 6.9013
-7.8913 -10.9242 -3.0601
10.7058 -12.5664 1.8809
H O N Cl S C Re
48 12 16 20 8 8 4
Direct
0.6637 0.5110 0.1143 H
0.8363 0.5110 0.6143 H
0.5977 0.5398 0.5977 H
0.4590 0.9994 0.3985 H
0.0348 0.3384 0.2633 H
0.4224 0.9259 0.1117 H
0.4023 0.4602 0.4023 H
0.5920 0.0056 0.8107 H
0.5348 0.6616 0.2367 H
0.5776 0.0741 0.8883 H
0.4080 0.9944 0.1893 H
0.9224 0.0741 0.3883 H
0.4856 0.6342 0.0133 H
0.8403 0.9153 0.1514 H
0.1637 0.4890 0.3857 H
0.5144 0.3658 0.9867 H
0.0776 0.9259 0.6117 H
0.2904 0.9165 0.3205 H
0.9652 0.6616 0.7367 H
0.9023 0.5398 0.0977 H
0.3403 0.0847 0.3486 H
0.1811 0.7996 0.3303 H
0.6811 0.2004 0.1697 H
0.8189 0.2004 0.6697 H
0.3946 0.3758 0.0640 H
0.6252 0.5677 0.3159 H
0.0410 0.9994 0.8985 H
0.3363 0.4890 0.8857 H
0.8748 0.5677 0.8159 H
0.3189 0.7996 0.8303 H
0.6597 0.9153 0.6514 H
0.8946 0.6242 0.4360 H
0.0144 0.6342 0.5133 H
0.6054 0.6242 0.9360 H
0.5410 0.0006 0.6015 H
0.9590 0.0006 0.1015 H
0.4652 0.3384 0.7633 H
0.7904 0.0835 0.1795 H
0.1054 0.3758 0.5640 H
0.2096 0.9165 0.8205 H
0.0977 0.4602 0.9023 H
0.1597 0.0847 0.8486 H
0.7096 0.0835 0.6795 H
0.9856 0.3658 0.4867 H
0.9080 0.0056 0.3107 H
0.3748 0.4323 0.6841 H
0.0920 0.9944 0.6893 H
0.1252 0.4323 0.1841 H
0.8872 0.9055 0.9786 O
0.5625 0.6730 0.9684 O
0.4375 0.3270 0.0316 O
0.3980 0.0214 0.3454 O
0.6020 0.9786 0.6546 O
0.9375 0.6730 0.4684 O
0.1020 0.0214 0.8454 O
0.0625 0.3270 0.5316 O
0.6128 0.9055 0.4786 O
0.3872 0.0945 0.5214 O
0.8980 0.9786 0.1546 O
0.1128 0.0945 0.0214 O
0.1126 0.9291 0.6709 N
0.6988 0.4953 0.6295 N
0.8012 0.4953 0.1295 N
0.2546 0.8560 0.2955 N
0.3012 0.5047 0.3705 N
0.7546 0.1440 0.2045 N
0.8874 0.0709 0.3291 N
0.9880 0.6046 0.7854 N
0.0120 0.3954 0.2146 N
0.1988 0.5047 0.8705 N
0.7454 0.1440 0.7045 N
0.3874 0.9291 0.1709 N
0.2454 0.8560 0.7955 N
0.6126 0.0709 0.8291 N
0.4880 0.3954 0.7146 N
0.5120 0.6046 0.2854 N
0.5052 0.6852 0.4818 Cl
0.7339 0.8172 0.8355 Cl
0.4948 0.3148 0.5182 Cl
0.2610 0.2507 0.8749 Cl
0.8518 0.4867 0.3937 Cl
0.4561 0.8758 0.9821 Cl
0.0439 0.8758 0.4821 Cl
0.9561 0.1242 0.5179 Cl
0.2661 0.1828 0.1645 Cl
0.3518 0.5133 0.1063 Cl
0.9948 0.6852 0.9818 Cl
0.0052 0.3148 0.0182 Cl
0.7610 0.7493 0.6251 Cl
0.6482 0.4867 0.8937 Cl
0.5439 0.1242 0.0179 Cl
0.2339 0.1828 0.6645 Cl
0.1482 0.5133 0.6063 Cl
0.7390 0.7493 0.1251 Cl
0.2390 0.2507 0.3749 Cl
0.7661 0.8172 0.3355 Cl
0.7481 0.2476 0.8279 S
0.7519 0.2476 0.3279 S
0.6415 0.3515 0.2352 S
0.3585 0.6485 0.7648 S
0.2481 0.7524 0.6721 S
0.2519 0.7524 0.1721 S
0.1415 0.6485 0.2648 S
0.8585 0.3515 0.7352 S
0.8415 0.4200 0.1899 C
0.8013 0.1456 0.2805 C
0.6987 0.1456 0.7805 C
0.1987 0.8544 0.7195 C
0.3013 0.8544 0.2195 C
0.3415 0.5800 0.3101 C
0.1585 0.5800 0.8101 C
0.6585 0.4200 0.6899 C
0.7434 0.8027 0.4797 Re
0.2566 0.1973 0.5203 Re
0.2434 0.1973 0.0203 Re
0.7566 0.8027 0.9797 Re

---

ReHCSN2Cl3O PBE-GGA optimized geometry; E_form = -30.0 meV per atom; symmetry = Pca2_1, No. 29
1.0
-4.0925 -2.6525 -6.1439
9.2931 0.7192 -6.5006
2.8523 -11.0214 2.8583
N C Cl Re O S H
8 4 12 4 4 4 4
Direct
0.1875 0.9066 0.3333 N
0.1875 0.5934 0.8333 N
0.2627 0.8721 0.4255 N
0.8125 0.4066 0.3333 N
0.8125 0.0934 0.8333 N
0.7373 0.3721 0.4255 N
0.7373 0.1279 0.9255 N
0.2627 0.6279 0.9255 N
0.8443 0.0298 0.9333 C
0.1557 0.5298 0.9333 C
0.1557 0.9702 0.4333 C
0.8443 0.4702 0.4333 C
0.5206 0.4239 0.0485 Cl
0.9242 0.7756 0.7023 Cl
0.9242 0.7244 0.2023 Cl
0.4843 0.2173 0.2387 Cl
0.4794 0.9239 0.0485 Cl
0.4794 0.5761 0.5485 Cl
0.0758 0.2756 0.7023 Cl
0.4843 0.2827 0.7387 Cl
0.5206 0.0761 0.5485 Cl
0.0758 0.2244 0.2023 Cl
0.5157 0.7827 0.7387 Cl
0.5157 0.7173 0.2387 Cl
0.6981 0.8459 0.1561 Re
0.3019 0.1541 0.6561 Re
0.6981 0.6541 0.6561 Re
0.3019 0.3459 0.1561 Re
0.2464 0.0285 0.7306 O
0.7536 0.5285 0.7306 O
0.2464 0.4715 0.2306 O
0.7536 0.9715 0.2306 O
0.9254 0.9199 0.9984 S
0.0746 0.0801 0.4984 S
0.9254 0.5801 0.4984 S
0.0746 0.4199 0.9984 S
0.7336 0.7188 0.5270 H
0.2664 0.2188 0.5270 H
0.2664 0.2812 0.0270 H
0.7336 0.7812 0.0270 H

---

H20RhC3N9Cl6O PBE-GGA optimized geometry; E_form = -505.7 meV per atom; symmetry = P-1, No. 2
1.0
7.9412 0.0000 0.0000
3.7716 7.9568 0.0000
3.8443 2.2984 15.9489
H C N Cl O Rh
40 6 18 12 2 2
Direct
0.8199 0.2185 0.1943 H
0.9178 0.3184 0.5813 H
0.2213 0.5567 0.2783 H
0.0919 0.5547 0.0871 H
0.2033 0.6827 0.7200 H
0.8190 0.6654 0.9036 H
0.1023 0.8717 0.5914 H
0.1810 0.3346 0.0964 H
0.7787 0.4433 0.7217 H
0.4459 0.3912 0.9232 H
0.6466 0.8351 0.7906 H
0.1146 0.6868 0.1919 H
0.0822 0.6816 0.4187 H
0.1030 0.9394 0.4048 H
0.3110 0.9872 0.1434 H
0.5541 0.6088 0.0768 H
0.7967 0.3173 0.2800 H
0.8977 0.1283 0.4086 H
0.8854 0.3132 0.8081 H
0.6041 0.1166 0.4094 H
0.3959 0.8834 0.5906 H
0.5542 0.7383 0.1907 H
0.9081 0.4453 0.9129 H
0.5033 0.0051 0.1054 H
0.8970 0.0606 0.5952 H
0.4458 0.2617 0.8093 H
0.4967 0.9949 0.8946 H
0.3790 0.3975 0.7176 H
0.5977 0.9189 0.4112 H
0.4023 0.0811 0.5888 H
0.3534 0.1649 0.2094 H
0.6459 0.7292 0.7128 H
0.3541 0.2708 0.2872 H
0.6210 0.6025 0.2824 H
0.3088 0.6068 0.9260 H
0.8710 0.6716 0.4170 H
0.1290 0.3284 0.5830 H
0.1801 0.7815 0.8057 H
0.6912 0.3932 0.0740 H
0.6890 0.0128 0.8566 H
0.2166 0.4266 0.1923 C
0.7834 0.5734 0.8077 C
0.8609 0.9124 0.4044 C
0.1391 0.0876 0.5956 C
0.6754 0.4806 0.1818 C
0.3246 0.5194 0.8182 C
0.6481 0.4977 0.1032 N
0.8337 0.5613 0.8812 N
0.0375 0.9972 0.5995 N
0.3899 0.3832 0.7790 N
0.6997 0.7258 0.7633 N
0.6101 0.6168 0.2210 N
0.3519 0.5023 0.8968 N
0.1817 0.5674 0.2227 N
0.9625 0.0028 0.4005 N
0.1663 0.4387 0.1188 N
0.8183 0.4326 0.7773 N
0.6749 0.9901 0.4041 N
0.2318 0.6740 0.7779 N
0.7682 0.3260 0.2221 N
0.3251 0.0099 0.5959 N
0.9484 0.7434 0.4052 N
0.0516 0.2566 0.5948 N
0.3003 0.2742 0.2367 N
0.7974 0.4072 0.4121 Cl
0.6783 0.1941 0.0087 Cl
0.6228 0.6037 0.5841 Cl
0.4136 0.7682 0.4125 Cl
0.2026 0.5928 0.5879 Cl
0.3772 0.3963 0.4159 Cl
0.0967 0.2235 0.9938 Cl
0.9720 0.9602 0.1487 Cl
0.5864 0.2318 0.5875 Cl
0.3217 0.8059 0.9913 Cl
0.9033 0.7765 0.0062 Cl
0.0280 0.0398 0.8513 Cl
0.5736 0.0184 0.8417 O
0.4264 0.9816 0.1583 O
0.0000 0.0000 0.0000 Rh
0.5000 0.5000 0.5000 Rh

---

H2RuC8S3NCl3O3 PBE-GGA optimized geometry; E_form = 705.8 meV per atom; symmetry = Pna2_1, No. 33
1.0
10.5977 0.0000 0.0000
0.0000 14.7905 0.0000
0.0000 0.0000 28.5004
Cl H C N S Ru O
24 16 64 8 24 8 24
Direct
0.3977 0.9115 0.4362 Cl
0.8977 0.4115 0.0638 Cl
0.0133 0.2753 0.6054 Cl
0.2902 0.3125 0.2610 Cl
0.3607 0.9734 0.7524 Cl
0.3607 0.5266 0.2524 Cl
0.4593 0.3847 0.1730 Cl
0.7902 0.8125 0.2390 Cl
0.9593 0.8847 0.3270 Cl
0.4593 0.1153 0.6730 Cl
0.8977 0.0885 0.5638 Cl
0.3977 0.5885 0.9362 Cl
0.8607 0.4734 0.7476 Cl
0.8607 0.0266 0.2476 Cl
0.7054 0.8576 0.4531 Cl
0.2054 0.1424 0.5469 Cl
0.5133 0.7753 0.8946 Cl
0.9593 0.6153 0.8270 Cl
0.7902 0.6875 0.7390 Cl
0.0133 0.2247 0.1054 Cl
0.7054 0.6424 0.9531 Cl
0.2902 0.1875 0.7610 Cl
0.5133 0.7247 0.3946 Cl
0.2054 0.3576 0.0469 Cl
0.2741 0.6529 0.6477 H
0.8838 0.2175 0.8834 H
0.1844 0.3528 0.0917 H
0.3838 0.7175 0.6166 H
0.2661 0.0756 0.6775 H
0.3838 0.7825 0.1166 H
0.7741 0.1529 0.8523 H
0.8838 0.2825 0.3834 H
0.7661 0.9244 0.3225 H
0.7661 0.5756 0.8225 H
0.2661 0.4244 0.1775 H
0.7741 0.3471 0.3523 H
0.6844 0.6472 0.9083 H
0.6844 0.8528 0.4083 H
0.1844 0.1472 0.5917 H
0.2741 0.8471 0.1477 H
0.6297 0.2003 0.2176 C
0.2031 0.6920 0.3183 C
0.5926 0.9265 0.5552 C
0.5315 0.5345 0.6492 C
0.6535 0.8352 0.7516 C
0.6535 0.6648 0.2516 C
0.3699 0.3843 0.3687 C
0.7030 0.5519 0.0704 C
0.1628 0.4158 0.7645 C
0.5926 0.5735 0.0552 C
0.2663 0.0760 0.0471 C
0.7030 0.9481 0.5704 C
0.3076 0.1795 0.8889 C
0.2663 0.4240 0.5471 C
0.5315 0.9655 0.1492 C
0.1297 0.7003 0.2824 C
0.6558 0.9185 0.9715 C
0.6776 0.2476 0.0358 C
0.7663 0.5760 0.4529 C
0.1558 0.0815 0.0285 C
0.1535 0.1648 0.2484 C
0.9465 0.0967 0.8590 C
0.0926 0.4265 0.9448 C
0.6134 0.4796 0.8495 C
0.0525 0.0506 0.6823 C
0.6628 0.5842 0.2355 C
0.5525 0.5506 0.8177 C
0.0315 0.0345 0.8508 C
0.7663 0.9240 0.9529 C
0.1535 0.3352 0.7484 C
0.1134 0.9796 0.6505 C
0.0926 0.0735 0.4448 C
0.8076 0.6795 0.6111 C
0.4465 0.9033 0.1410 C
0.5525 0.9494 0.3177 C
0.1558 0.4185 0.5285 C
0.3699 0.1157 0.8687 C
0.2030 0.0519 0.4296 C
0.6297 0.2997 0.7176 C
0.1776 0.7524 0.9642 C
0.5801 0.2013 0.5315 C
0.4465 0.5967 0.6410 C
0.6134 0.0204 0.3495 C
0.5801 0.2987 0.0315 C
0.2030 0.4481 0.9296 C
0.8076 0.8205 0.1111 C
0.1628 0.0842 0.2645 C
0.3076 0.3205 0.3889 C
0.6628 0.9158 0.7355 C
0.1297 0.7997 0.7824 C
0.1776 0.7476 0.4642 C
0.8699 0.8843 0.1313 C
0.0801 0.7013 0.9685 C
0.7031 0.3080 0.6817 C
0.0315 0.4655 0.3508 C
0.6558 0.5815 0.4715 C
0.6776 0.2524 0.5358 C
0.0801 0.7987 0.4685 C
0.1134 0.5204 0.1505 C
0.0525 0.4494 0.1823 C
0.8699 0.6157 0.6313 C
0.9465 0.4033 0.3590 C
0.2031 0.8080 0.8183 C
0.7031 0.1920 0.1817 C
0.3642 0.8409 0.1349 N
0.6750 0.5470 0.8277 N
0.1750 0.0470 0.6723 N
0.8642 0.3409 0.3651 N
0.6750 0.9530 0.3277 N
0.8642 0.1591 0.8651 N
0.3642 0.6591 0.6349 N
0.1750 0.4530 0.1723 N
0.8109 0.2150 0.0163 S
0.0983 0.7654 0.2392 S
0.9864 0.9070 0.1651 S
0.0983 0.7346 0.7392 S
0.5983 0.2654 0.2608 S
0.5915 0.8405 0.0026 S
0.6610 0.4777 0.2479 S
0.9879 0.1464 0.4593 S
0.3109 0.7150 0.4837 S
0.0915 0.1595 0.9974 S
0.4879 0.6464 0.0407 S
0.3109 0.7850 0.9837 S
0.6610 0.0223 0.7479 S
0.1610 0.5223 0.7521 S
0.9879 0.3536 0.9593 S
0.4879 0.8536 0.5407 S
0.1610 0.9777 0.2521 S
0.8109 0.2850 0.5163 S
0.4864 0.4070 0.3349 S
0.9864 0.5930 0.6651 S
0.5983 0.2346 0.7608 S
0.5915 0.6595 0.5026 S
0.4864 0.0930 0.8349 S
0.0915 0.3405 0.4974 S
0.4812 0.3933 0.2559 Ru
0.9917 0.2840 0.0299 Ru
0.4917 0.7840 0.4701 Ru
0.9812 0.8933 0.2441 Ru
0.9812 0.6067 0.7441 Ru
0.4917 0.7160 0.9701 Ru
0.4812 0.1067 0.7559 Ru
0.9917 0.2160 0.5299 Ru
0.3096 0.6370 0.5153 O
0.8096 0.1370 0.9847 O
0.6034 0.4345 0.3587 O
0.6034 0.0655 0.8587 O
0.6600 0.2431 0.3056 O
0.6600 0.2569 0.8056 O
0.7836 0.0606 0.7610 O
0.6043 0.6524 0.5536 O
0.1034 0.9345 0.1413 O
0.1600 0.7431 0.1944 O
0.3936 0.6696 0.0767 O
0.3936 0.8304 0.5767 O
0.2836 0.5606 0.7390 O
0.8936 0.3304 0.9233 O
0.8096 0.3630 0.4847 O
0.2836 0.9394 0.2390 O
0.8936 0.1696 0.4233 O
0.7836 0.4394 0.2610 O
0.3096 0.8630 0.0153 O
0.1043 0.1524 0.9464 O
0.6043 0.8476 0.0536 O
0.1043 0.3476 0.4464 O
0.1600 0.7569 0.6944 O
0.1034 0.5655 0.6413 O